No. 1
This record from the Materials Project database describes crystalline TbZnSi at its relaxed geometry. The functional is PBE-GGA.

Calculated values
E_form   -615 meV per atom
Raw total energy   -4.4114 eV per atom

Cell lengths 4.127, 4.127, 4.067 Å; angles 90.00, 90.00, 120.00 degrees
Positions (direct):
Tb 0.667 0.333 0.000
Zn 0.000 0.000 0.500
Si 0.333 0.667 0.500

=====

No. 2
This record from the Materials Project database describes crystalline Mo2RuSe4 at its relaxed geometry. The functional is PBE-GGA.

Calculated values
Total magnetization   0.000 μB per atom
E_form   -845 meV per atom
Polymorph energy (0 for the lowest one)   0.002 eV per atom
Raw total energy   -6.9961 eV per atom

Cell lengths 6.729, 9.308, 9.819 Å; angles 90.05, 90.60, 94.93 degrees
Positions (direct):
Mo 0.766 0.519 0.067
Mo 0.767 0.020 0.566
Mo 0.583 0.108 0.346
Mo 0.544 0.326 0.911
Mo 0.456 0.674 0.089
Mo 0.417 0.892 0.654
Mo 0.233 0.980 0.434
Mo 0.234 0.481 0.933
Ru 0.549 0.819 0.408
Ru 0.588 0.610 0.838
Ru 0.412 0.390 0.162
Ru 0.451 0.181 0.592
Se 0.867 0.945 0.320
Se 0.869 0.451 0.819
Se 0.720 0.252 0.128
Se 0.735 0.747 0.617
Se 0.779 0.284 0.504
Se 0.784 0.782 0.993
Se 0.630 0.566 0.304
Se 0.625 0.079 0.798
Se 0.375 0.921 0.202
Se 0.370 0.434 0.696
Se 0.221 0.716 0.496
Se 0.265 0.253 0.383
Se 0.216 0.218 0.007
Se 0.280 0.748 0.872
Se 0.131 0.549 0.181
Se 0.133 0.055 0.680

=====

No. 3
This record from the Materials Project database describes crystalline Nb3Ge at its relaxed geometry. The functional is PBE-GGA.

Calculated values
E_form   -266 meV per atom
Polymorph energy (0 for the lowest one)   0.052 eV per atom
Raw total energy   -8.9981 eV per atom

Cell lengths 5.175, 5.175, 5.175 Å; angles 90.00, 90.00, 90.00 degrees
Positions (direct):
Nb 0.000 0.500 0.750
Nb 0.500 0.250 0.000
Nb 0.750 0.000 0.500
Nb 0.000 0.500 0.250
Nb 0.500 0.750 0.000
Nb 0.250 0.000 0.500
Ge 0.500 0.500 0.500
Ge 0.000 0.000 0.000

=====

No. 4
This record from the Materials Project database describes crystalline PtCN2 at its relaxed geometry. The functional is PBE-GGA.

Calculated values
Total magnetization   0.000 μB per atom
E_form   542 meV per atom
Raw total energy   -7.2703 eV per atom

Cell lengths 5.073, 5.073, 5.073 Å; angles 38.85, 38.85, 38.85 degrees
Positions (direct):
Pt 0.000 0.000 0.000
C 0.500 0.500 0.500
N 0.589 0.589 0.589
N 0.411 0.411 0.411

=====

No. 5
This record from the Materials Project database describes crystalline CdAu2F12 at its relaxed geometry. The functional is PBE-GGA.

Calculated values
E_form   -1481 meV per atom
Raw total energy   -3.1416 eV per atom

Cell lengths 7.281, 7.281, 10.369 Å; angles 68.40, 68.40, 76.54 degrees
Positions (direct):
Cd 0.174 0.826 0.750
Cd 0.826 0.174 0.250
Au 0.248 0.253 0.372
Au 0.253 0.248 0.872
Au 0.752 0.747 0.628
Au 0.747 0.752 0.128
F 0.861 0.869 0.224
F 0.139 0.131 0.776
F 0.296 0.981 0.505
F 0.987 0.283 0.508
F 0.283 0.987 0.008
F 0.367 0.358 0.463
F 0.358 0.367 0.963
F 0.869 0.861 0.724
F 0.782 0.484 0.269
F 0.019 0.704 0.995
F 0.704 0.019 0.495
F 0.981 0.296 0.005
F 0.514 0.204 0.741
F 0.633 0.642 0.537
F 0.218 0.516 0.731
F 0.642 0.633 0.037
F 0.484 0.782 0.769
F 0.796 0.486 0.759
F 0.516 0.218 0.231
F 0.486 0.796 0.259
F 0.204 0.514 0.241
F 0.717 0.013 0.992
F 0.131 0.139 0.276
F 0.013 0.717 0.492

=====

No. 6
This record from the Materials Project database describes crystalline SmZnAu2 at its relaxed geometry. The functional is PBE-GGA.

Calculated values
E_form   -607 meV per atom
Raw total energy   -3.7382 eV per atom

Cell lengths 4.913, 4.913, 4.913 Å; angles 60.00, 60.00, 60.00 degrees
Positions (direct):
Sm 0.500 0.500 0.500
Zn 0.000 0.000 0.000
Au 0.250 0.250 0.250
Au 0.750 0.750 0.750

=====

No. 7
This record from the Materials Project database describes crystalline AlGaP2 at its relaxed geometry. The functional is PBE-GGA.

Calculated values
E_form   -506 meV per atom
Raw total energy   -4.9061 eV per atom

Cell lengths 3.894, 3.894, 5.500 Å; angles 90.00, 90.00, 90.00 degrees
Positions (direct):
Al 0.500 0.500 0.500
Ga 0.000 0.000 0.000
P 0.000 0.500 0.251
P 0.500 0.000 0.749

=====

No. 8
This record from the Materials Project database describes crystalline UB4Mo at its relaxed geometry. The functional is PBE-GGA.

Calculated values
Total magnetization   0.136 μB per atom
E_form   -534 meV per atom
Raw total energy   -8.6760 eV per atom

Cell lengths 3.677, 5.934, 11.527 Å; angles 90.00, 90.00, 90.00 degrees
Positions (direct):
U 0.000 0.128 0.650
U 0.000 0.872 0.350
U 0.000 0.628 0.850
U 0.000 0.372 0.150
B 0.500 0.476 0.693
B 0.500 0.524 0.307
B 0.500 0.976 0.807
B 0.500 0.024 0.193
B 0.500 0.292 0.812
B 0.500 0.708 0.188
B 0.500 0.792 0.688
B 0.500 0.208 0.312
B 0.500 0.367 0.968
B 0.500 0.633 0.032
B 0.500 0.867 0.532
B 0.500 0.133 0.468
B 0.500 0.385 0.547
B 0.500 0.615 0.453
B 0.500 0.885 0.953
B 0.500 0.115 0.047
Mo 0.000 0.138 0.908
Mo 0.000 0.862 0.092
Mo 0.000 0.638 0.592
Mo 0.000 0.362 0.408